1.
DFT (PBE-GGA) results for an optimized crystal structure of Li2TiI6O18.

POSCAR file:
```
Li2TiI6O18
1.0
2.032 -0.730 -4.712
7.820 4.780 2.632
7.352 -4.660 3.892
Li O Ti I
2 18 1 6
Cartesian
10.563 -0.082 3.308 Li
6.530 -0.489 -1.241 Li
6.826 1.308 -0.103 O
5.858 0.630 -3.080 O
9.201 2.589 -1.459 O
9.353 -0.768 1.547 O
9.688 3.287 1.133 O
6.496 -2.466 -2.325 O
6.969 -1.760 0.434 O
11.562 1.554 2.140 O
3.222 -0.171 -3.610 O
8.707 -0.160 -1.729 O
12.213 -1.547 2.901 O
4.417 -0.521 -0.859 O
14.600 -0.583 3.851 O
9.360 -1.575 4.256 O
8.765 -3.438 1.777 O
11.796 0.277 5.019 O
8.122 -4.229 -0.868 O
9.213 1.528 3.712 O
8.701 -5.145 0.764 Ti
7.900 -1.770 1.991 I
3.137 -1.555 -0.096 I
11.529 -3.352 1.023 I
14.091 0.922 1.466 I
9.500 0.953 -0.519 I
5.942 2.796 0.439 I
```

Properties
- ΔE_f (meV/atom) = -1311
- E_tot (eV per atom) = -4.92

---

2.
DFT (PBE-GGA) results for an optimized crystal structure of Rb2LiPrI6.

POSCAR file:
```
Rb2LiPrI6
1.0
0.000 6.106 6.106
6.106 0.000 6.106
6.106 6.106 0.000
I Pr Rb Li
6 1 2 1
Cartesian
3.125 6.106 6.106 I
6.106 9.087 6.106 I
6.106 6.106 9.087 I
9.087 6.106 6.106 I
6.106 3.125 6.106 I
6.106 6.106 3.125 I
0.000 0.000 0.000 Pr
9.159 9.159 9.159 Rb
3.053 3.053 3.053 Rb
6.106 6.106 6.106 Li
```

Properties
- ΔE_f (meV/atom) = -1624
- E_tot (eV per atom) = -3.18